No. 1
A plane-wave DFT calculation with GGA+U was carried out for crystalline NaV2P2O14 at its relaxed geometry.

```
NaV2P2O14
1.0
6.266 -0.017 -0.315
-0.070 6.106 -1.520
-0.052 0.430 7.154
Na V P O
1 2 2 14
Cartesian
4.654 0.924 4.296
2.573 0.708 0.560
5.671 3.964 0.526
5.685 0.785 0.759
2.501 3.882 0.116
2.795 1.070 2.131
5.619 3.551 -1.013
2.425 2.442 -0.389
4.452 0.615 -0.159
2.514 4.833 -1.085
0.638 0.513 0.203
1.294 4.199 1.087
3.801 4.081 0.976
5.737 2.241 1.365
5.563 5.960 0.502
2.050 0.931 4.813
5.358 4.578 3.203
1.151 1.702 4.488
4.597 3.740 3.702
```

Calculated values
Formation enthalpy at 0 K   -1.7190 eV/atom
Size of the total moment   3.0 μB/f.u.



No. 2
A plane-wave DFT calculation with GGA+U was carried out for crystalline Na2VPO6 at its relaxed geometry.

```
Na2VPO6
1.0
-9.487 -6.964 4.437
4.037 -4.607 1.401
3.539 -0.055 7.480
Na V P O
8 4 4 24
Cartesian
2.523 -3.914 1.873
3.737 -5.095 5.051
-5.366 -4.997 3.568
3.455 -6.629 9.751
-2.855 -5.226 6.140
-5.648 -6.531 8.267
-4.434 -7.712 11.446
0.944 -6.399 7.179
-4.595 -8.183 5.220
0.303 -3.864 4.645
2.684 -3.442 8.099
-2.214 -7.762 8.674
-4.151 -9.826 7.313
2.240 -1.799 6.006
0.211 -7.950 9.840
-2.122 -3.675 3.479
0.402 -8.203 11.365
-5.190 -8.649 7.097
-1.214 -2.569 4.130
-3.449 -9.750 5.908
2.807 -5.096 7.885
3.279 -2.976 6.221
2.899 -0.452 5.795
-4.718 -6.529 5.434
0.152 -4.418 6.204
-0.697 -9.056 9.189
0.458 -2.866 1.493
-2.063 -7.208 7.115
-2.369 -8.759 11.826
-2.313 -3.422 1.954
1.553 -4.690 3.904
1.540 -7.838 9.122
1.244 -2.138 4.859
-3.464 -6.935 9.415
-3.451 -3.787 4.197
1.538 -1.876 7.411
-0.743 -6.711 9.585
-4.810 -11.174 7.524
-1.168 -4.914 3.734
-3.155 -9.487 8.460
```

Calculated values
Formation enthalpy at 0 K   -2.5226 eV/atom
Energy above the lowest structure with this stoichiometry   0.0000 eV per atom
Size of the total moment   0.0 μB/f.u.



No. 3
A plane-wave DFT calculation with GGA+U was carried out for crystalline Na3V2PO9 at its relaxed geometry.

```
Na3V2PO9
1.0
-5.097 4.872 1.599
-5.028 -4.868 -9.781
-5.122 -4.863 7.285
Na V P O
12 8 4 36
Cartesian
-10.141 -2.752 1.774
-10.163 -2.724 -3.922
-5.040 2.109 0.185
-10.191 -6.953 -1.126
-5.094 -2.077 3.020
-5.087 -2.072 -2.721
-5.100 -3.978 -5.492
-5.079 -3.883 5.837
-5.102 -3.953 0.179
-10.166 -0.890 -1.069
-10.105 -0.880 -6.717
-10.171 -0.873 4.665
-2.953 -0.899 -0.525
-8.049 -5.766 1.020
-7.987 -3.996 -7.401
-8.060 -3.948 3.897
-8.021 -4.004 -1.890
-7.244 0.793 3.755
-7.209 0.795 -1.931
-12.298 -4.067 -0.338
-7.272 -0.889 6.603
-7.239 -0.895 0.914
-7.211 -0.890 -4.774
-7.993 -5.764 -4.654
-6.480 -2.204 -4.660
-6.557 -2.212 6.722
-6.512 -2.211 1.034
-8.716 -7.280 0.866
-8.704 -7.084 -4.786
-3.619 -2.409 -0.727
-8.723 -2.498 -2.023
-8.683 -2.493 -7.588
-8.727 -2.430 3.717
-11.584 -2.571 -0.191
-6.523 2.288 3.879
-6.497 2.293 -1.797
-8.726 -0.892 -4.792
-8.788 -0.883 6.588
-8.755 -0.893 0.884
-6.365 -5.841 1.036
-6.476 -5.764 -4.639
-1.270 -0.971 -0.553
-6.350 -3.894 -1.814
-6.316 -3.901 -7.488
-6.378 -3.891 3.884
-13.956 -3.905 -0.341
-8.900 0.965 3.745
-8.867 0.958 -1.941
-11.769 -4.978 1.200
-6.712 -0.110 5.297
-6.673 -0.116 -0.395
-8.698 -4.945 2.514
-8.558 -4.981 -3.362
-3.599 -0.121 1.003
-8.701 -4.818 -0.406
-8.558 -4.817 -5.840
-3.619 0.102 -1.899
-11.747 -4.844 -1.947
-6.694 0.020 2.147
-6.665 0.024 -3.542
```

Calculated values
Formation enthalpy at 0 K   -2.4674 eV/atom
Size of the total moment   0.0 μB/f.u.



No. 4
A plane-wave DFT calculation with GGA+U was carried out for crystalline Na2V3P2O13 at its relaxed geometry.

```
Na2V3P2O13
1.0
8.395 0.000 0.000
0.000 10.535 0.000
0.000 0.000 12.223
Na V P O
8 12 8 52
Cartesian
7.527 7.577 6.558
0.868 2.309 0.446
5.066 2.958 0.446
7.527 8.225 11.777
5.066 2.309 5.665
3.329 8.225 6.558
0.868 2.958 5.665
3.329 7.577 11.777
7.827 7.901 3.056
2.143 5.060 1.639
2.143 0.208 4.472
3.629 7.901 3.056
2.055 10.327 10.584
6.252 10.327 7.751
4.766 2.634 9.167
6.252 5.475 10.584
0.568 2.634 9.167
6.340 0.208 1.639
6.340 5.060 4.472
2.055 5.475 7.751
7.293 5.174 1.473
7.293 0.093 4.639
3.096 0.093 1.473
5.300 10.442 10.751
5.300 5.361 7.584
1.102 5.361 10.751
1.102 10.442 7.584
3.096 5.174 4.639
2.097 9.942 8.665
6.295 9.942 9.670
2.101 0.593 2.554
6.723 0.604 5.988
7.142 1.531 1.088
5.870 5.872 6.235
5.132 4.177 10.346
7.142 3.736 5.024
7.310 2.634 9.167
2.101 4.674 3.558
3.915 6.050 7.807
1.672 9.931 6.235
0.282 4.485 1.696
7.443 6.711 1.466
2.525 0.604 0.123
2.097 5.860 9.670
6.298 4.674 2.554
6.295 5.860 8.665
3.263 9.445 4.234
8.113 6.050 10.528
4.480 0.783 1.696
5.870 9.931 12.100
5.283 7.901 3.056
2.945 1.531 5.024
6.723 4.663 0.123
7.460 9.445 1.877
7.443 9.092 4.645
2.525 4.663 5.988
3.915 9.752 10.528
1.253 9.004 11.136
0.935 4.177 7.989
1.085 7.901 3.056
5.450 9.004 7.199
0.953 1.443 7.578
3.112 2.634 9.167
4.480 4.485 4.416
3.245 6.711 4.645
5.150 3.824 7.578
1.253 6.799 7.199
0.935 1.090 10.346
5.450 6.799 11.136
2.945 3.736 1.088
5.132 1.090 7.989
3.263 6.358 1.877
0.953 3.824 10.757
5.150 1.443 10.757
7.460 6.358 4.234
0.282 0.783 4.416
6.298 0.593 3.558
8.113 9.752 7.807
3.245 9.092 1.466
1.672 5.872 12.100
```

Calculated values
Formation enthalpy at 0 K   -2.5357 eV/atom
Size of the total moment   1.0 μB/f.u.



No. 5
A plane-wave DFT calculation with GGA+U was carried out for crystalline Na4VP2O9 at its relaxed geometry.

```
Na4VP2O9
1.0
7.089 0.000 0.000
0.000 14.670 0.000
0.000 0.000 16.208
Na V P O
32 8 16 72
Cartesian
0.024 2.035 6.185
1.908 7.252 0.073
1.814 3.599 8.517
5.453 0.083 0.073
7.065 12.635 10.024
3.568 5.300 6.185
5.359 3.736 8.517
1.636 14.587 16.136
1.908 14.587 8.032
2.230 7.691 12.563
4.859 6.979 3.645
5.275 3.736 0.413
5.181 7.418 16.136
1.314 7.691 4.459
5.359 11.071 15.796
7.065 5.300 14.289
1.814 10.934 15.796
1.314 0.356 3.645
2.230 0.356 11.749
1.636 7.252 8.177
5.775 6.979 11.749
3.521 2.035 14.289
1.730 10.934 7.691
3.521 9.370 10.024
5.775 14.314 12.563
5.275 11.071 7.691
1.730 3.599 0.413
5.453 7.418 8.032
4.859 14.314 4.459
5.181 0.083 8.177
0.024 9.370 1.919
3.568 12.635 1.919
1.953 11.130 4.313
5.136 3.541 11.895
5.498 10.876 4.313
1.953 3.795 3.791
1.591 3.795 11.895
5.498 3.541 3.791
1.591 11.130 12.417
5.136 10.876 12.417
7.082 9.373 10.167
3.537 12.633 10.167
3.532 8.920 6.170
3.552 9.373 2.063
7.082 2.037 14.145
7.077 13.085 6.170
3.557 5.750 10.039
0.012 1.585 10.039
0.007 12.633 2.063
3.552 2.037 6.041
3.537 5.298 14.145
0.007 5.298 6.041
3.532 1.585 1.934
3.557 13.085 14.274
7.077 5.750 1.934
0.012 8.920 14.274
4.819 9.736 5.804
5.807 12.272 5.724
5.815 2.401 10.405
4.828 5.020 13.286
1.283 9.650 11.027
4.828 2.210 5.133
2.263 9.733 5.724
0.028 2.957 3.870
1.282 9.733 13.828
7.027 3.042 15.313
3.517 2.957 11.974
3.574 14.466 13.612
7.061 11.713 12.339
0.059 1.499 8.494
4.827 4.937 10.484
2.261 2.315 5.181
5.806 12.356 2.923
3.603 13.171 15.818
7.061 4.378 11.974
3.574 7.131 10.701
2.270 12.269 13.908
3.516 0.205 2.597
3.572 11.713 4.234
5.807 4.937 2.380
3.516 7.540 5.508
3.547 7.909 1.595
1.283 5.125 5.133
3.486 1.499 0.390
2.261 5.125 13.237
1.274 12.269 5.804
2.261 9.650 2.923
1.282 2.398 10.484
5.806 9.545 11.075
1.274 4.934 2.300
1.283 12.460 2.971
2.270 4.934 10.405
5.815 9.736 13.908
5.806 2.210 13.237
0.062 4.294 7.209
3.482 11.629 8.999
7.030 5.836 0.390
2.263 2.398 2.380
0.059 8.834 15.818
7.060 14.466 5.508
3.572 4.378 3.870
3.547 0.574 6.509
7.027 10.377 8.999
4.819 2.401 2.300
3.603 5.836 8.494
4.827 12.272 13.828
4.828 12.356 11.027
5.806 5.020 5.181
7.087 7.909 9.699
0.062 11.629 0.895
0.002 14.096 1.595
0.029 7.540 13.612
1.283 2.315 13.286
3.542 14.096 9.699
3.517 10.292 12.339
0.029 0.205 10.701
0.028 10.292 4.234
2.261 12.460 11.075
7.087 0.574 14.613
3.542 6.761 14.613
4.828 9.545 2.971
3.607 10.377 0.895
7.030 13.171 7.714
3.607 3.042 7.209
3.486 8.834 7.714
3.482 4.294 15.313
0.002 6.761 6.509
7.060 7.131 2.597
```

Calculated values
Formation enthalpy at 0 K   -2.5979 eV/atom
Size of the total moment   1.0 μB/f.u.



No. 6
A plane-wave DFT calculation with GGA+U was carried out for crystalline NaVP2O7 at its relaxed geometry.

```
NaVP2O7
1.0
8.104 0.000 0.000
0.000 7.439 0.000
0.000 3.613 9.014
Na V P O
4 4 8 28
Cartesian
3.823 8.414 6.391
7.875 4.445 7.131
4.281 2.638 2.624
0.229 6.608 1.883
0.065 8.368 6.768
4.117 4.492 6.753
8.039 2.685 2.246
3.987 6.561 2.261
6.130 6.629 8.607
2.078 6.230 4.914
1.974 4.423 0.407
6.026 4.823 4.100
5.759 9.595 8.589
1.707 3.264 4.932
2.345 1.457 0.425
6.397 7.789 4.082
5.183 5.573 8.102
1.131 7.287 5.419
2.921 5.480 0.912
6.973 3.766 3.595
7.216 9.696 8.114
3.164 3.164 5.408
0.888 1.357 0.901
4.940 7.889 3.606
4.763 10.243 7.627
0.711 2.617 5.894
3.341 0.810 1.387
7.393 8.436 3.120
5.314 8.030 8.453
1.262 4.829 5.069
2.790 3.023 0.562
6.842 6.223 3.945
7.410 6.740 7.760
3.358 6.119 5.761
0.694 4.312 1.254
4.746 4.934 3.253
6.519 8.225 5.544
2.467 4.634 7.978
1.585 2.828 3.470
5.637 6.418 1.037
1.708 8.233 7.922
5.760 4.626 5.599
6.396 2.819 1.092
2.344 6.427 3.415
```

Calculated values
Formation enthalpy at 0 K   -2.7120 eV/atom
Size of the total moment   2.0 μB/f.u.